Material: LiCa4B3N6
Method: DFT, PBE-GGA
State: optimized geometry

Results
As for the formation energy: -1.3176 eV per atom. As for the energy with MP2020 corrections: -7.031 eV per atom. As for the density: 2.60 g/cm3.

a = 7.134 Å, b = 7.134 Å, c = 7.134 Å
α = 90.00°, β = 90.00°, γ = 90.00°
Space group Im-3m (No. 229)
Asymmetric unit:
Li 0.000 0.000 0.000 [2 per cell]
Ca 0.250 0.250 0.250 [8 per cell]
B 0.000 0.000 0.500 [6 per cell]
N 0.000 0.000 0.312 [12 per cell]

---

Material: CaMgB6O17
Method: DFT, PBE-GGA
State: optimized geometry

Results
As for the formation energy: -1.8218 eV per atom. As for the energy with MP2020 corrections: -6.934 eV per atom. As for the density: 2.26 g/cm3. The value obtained for the polymorph energy (0 for the lowest one) is 0.0000 eV per atom.

a = 11.407 Å, b = 6.481 Å, c = 8.117 Å
α = 90.00°, β = 100.62°, γ = 90.00°
Space group P2/c (No. 13)
Asymmetric unit:
Ca 0.000 0.235 0.250 [2 per cell]
Mg 0.500 0.000 0.000 [2 per cell]
B 0.099 0.294 0.921 [4 per cell]
B 0.263 0.469 0.401 [4 per cell]
B 0.291 0.277 0.140 [4 per cell]
O 0.010 0.394 0.516 [4 per cell]
O 0.044 0.108 0.831 [4 per cell]
O 0.151 0.448 0.830 [4 per cell]
O 0.166 0.208 0.072 [4 per cell]
O 0.309 0.310 0.321 [4 per cell]
O 0.321 0.459 0.051 [4 per cell]
O 0.367 0.101 0.104 [4 per cell]
O 0.482 0.348 0.817 [4 per cell]
O 0.500 0.052 0.250 [2 per cell]

---

Material: CaMgB6O17
Method: DFT, PBE-GGA
State: optimized geometry

Results
As for the formation energy: -1.6396 eV per atom. As for the energy with MP2020 corrections: -6.751 eV per atom. As for the density: 2.10 g/cm3. The value obtained for the polymorph energy (0 for the lowest one) is 0.1822 eV per atom.

a = 12.373 Å, b = 6.126 Å, c = 8.415 Å
α = 90.00°, β = 95.66°, γ = 90.00°
Space group P2/c (No. 13)
Asymmetric unit:
Ca 0.000 0.070 0.250 [2 per cell]
Mg 0.500 0.500 0.000 [2 per cell]
B 0.113 0.251 0.550 [4 per cell]
B 0.264 0.003 0.145 [4 per cell]
B 0.282 0.222 0.400 [4 per cell]
O 0.000 0.197 0.530 [4 per cell]
O 0.125 0.483 0.590 [4 per cell]
O 0.163 0.255 0.398 [4 per cell]
O 0.169 0.105 0.672 [4 per cell]
O 0.308 0.165 0.241 [4 per cell]
O 0.319 0.048 0.514 [4 per cell]
O 0.345 0.403 0.471 [4 per cell]
O 0.477 0.152 0.812 [4 per cell]
O 0.500 0.418 0.250 [2 per cell]

---

Material: CaMgB6O22
Method: DFT, PBE-GGA
State: optimized geometry

Results
As for the formation energy: -1.0905 eV per atom. As for the density: 2.01 g/cm3.

a = 11.245 Å, b = 7.788 Å, c = 18.175 Å
α = 90.00°, β = 93.42°, γ = 90.00°
Space group C2/c (No. 15)
Asymmetric unit:
Ca 0.000 0.237 0.250 [4 per cell]
Mg 0.000 0.000 0.000 [4 per cell]
B 0.050 0.372 0.841 [8 per cell]
B 0.110 0.148 0.644 [8 per cell]
B 0.114 0.069 0.846 [8 per cell]
O 0.018 0.020 0.671 [8 per cell]
O 0.065 0.324 0.643 [8 per cell]
O 0.068 0.460 0.325 [8 per cell]
O 0.091 0.334 0.048 [8 per cell]
O 0.118 0.005 0.920 [8 per cell]
O 0.126 0.083 0.573 [8 per cell]
O 0.132 0.340 0.116 [8 per cell]
O 0.135 0.439 0.003 [8 per cell]
O 0.139 0.251 0.841 [8 per cell]
O 0.166 0.038 0.292 [8 per cell]
O 0.214 0.139 0.696 [8 per cell]